# 1
! ZrB | the Materials Project database | PBE-GGA | optimized geometry; values from VASP
&SYSTEM
  ibrav = 0, nat = 2, ntyp = 2
/
ATOMIC_SPECIES
Zr 91.22 Zr.upf
B 10.81 B.upf
ATOMIC_POSITIONS crystal
Zr 0.500 0.500 0.500
B 0.000 0.000 0.000
CELL_PARAMETERS angstrom
0.000 2.456 2.456
2.456 0.000 2.456
2.456 2.456 0.000
! electronic total energy: -7.99 eV/atom
! V: 29.6 Å³ per cell
! ΔH_f (0 K): -36.1 kJ/mol of atoms
! theoretical density: 5.7 g/cm3
! symmetry: No. 225
! magnetic moment: 0.0 μB/f.u.
! crystal system: cubic

# 2
! NdI3 | the Materials Project database | PBE-GGA | optimized geometry; values from VASP
&SYSTEM
  ibrav = 0, nat = 8, ntyp = 2
/
ATOMIC_SPECIES
Nd 144.24 Nd.upf
I 126.90 I.upf
ATOMIC_POSITIONS crystal
Nd 0.667 0.333 0.250
Nd 0.333 0.667 0.750
I 0.212 0.425 0.250
I 0.788 0.212 0.750
I 0.425 0.212 0.750
I 0.788 0.575 0.750
I 0.212 0.788 0.250
I 0.575 0.788 0.250
CELL_PARAMETERS angstrom
-1.309 4.238 10.422
-9.074 -2.047 -6.463
-0.225 -3.825 1.527
! electronic total energy: -3.74 eV/atom
! V: 458.3 Å³ per cell
! ΔH_f (0 K): -163.1 kJ/mol of atoms
! theoretical density: 3.8 g/cm3
! symmetry: No. 194
! crystal system: hexagonal

# 3
! NaS2NO4F2 | the Materials Project database | PBE-GGA | optimized geometry; values from VASP
&SYSTEM
  ibrav = 0, nat = 80, ntyp = 5
/
ATOMIC_SPECIES
Na 22.99 Na.upf
S 32.06 S.upf
N 14.01 N.upf
O 16.00 O.upf
F 19.00 F.upf
ATOMIC_POSITIONS crystal
Na 0.289 0.488 0.747
Na 0.289 0.012 0.247
Na 0.711 0.512 0.253
Na 0.711 0.988 0.753
Na 0.564 0.671 0.671
Na 0.564 0.829 0.171
Na 0.436 0.329 0.329
Na 0.436 0.171 0.829
S 0.450 0.865 0.825
S 0.450 0.635 0.325
S 0.550 0.135 0.175
S 0.550 0.365 0.675
S 0.118 0.646 0.460
S 0.118 0.854 0.960
S 0.882 0.354 0.540
S 0.882 0.146 0.040
S 0.056 0.854 0.352
S 0.056 0.646 0.852
S 0.944 0.146 0.648
S 0.944 0.354 0.148
S 0.614 0.681 0.975
S 0.614 0.819 0.475
S 0.386 0.319 0.025
S 0.386 0.181 0.525
N 0.532 0.800 0.954
N 0.532 0.700 0.454
N 0.468 0.200 0.046
N 0.468 0.300 0.546
N 0.177 0.764 0.455
N 0.177 0.736 0.955
N 0.823 0.236 0.545
N 0.823 0.264 0.045
O 0.533 0.845 0.765
O 0.533 0.655 0.265
O 0.467 0.155 0.235
O 0.467 0.345 0.735
O 0.544 0.616 0.863
O 0.544 0.884 0.363
O 0.456 0.384 0.137
O 0.456 0.116 0.637
O 0.941 0.630 0.418
O 0.941 0.870 0.918
O 0.059 0.370 0.582
O 0.059 0.130 0.082
O 0.630 0.633 0.081
O 0.630 0.867 0.581
O 0.370 0.367 0.919
O 0.370 0.133 0.419
O 0.873 0.829 0.267
O 0.873 0.671 0.767
O 0.127 0.171 0.733
O 0.127 0.329 0.233
O 0.142 0.899 0.302
O 0.142 0.601 0.802
O 0.858 0.101 0.698
O 0.858 0.399 0.198
O 0.415 0.975 0.840
O 0.415 0.525 0.340
O 0.585 0.025 0.160
O 0.585 0.475 0.660
O 0.259 0.599 0.580
O 0.259 0.901 0.080
O 0.741 0.401 0.420
O 0.741 0.099 0.920
F 0.262 0.809 0.731
F 0.262 0.691 0.231
F 0.738 0.191 0.269
F 0.738 0.309 0.769
F 0.123 0.580 0.358
F 0.123 0.920 0.858
F 0.877 0.420 0.642
F 0.877 0.080 0.142
F 0.072 0.949 0.441
F 0.072 0.551 0.941
F 0.928 0.051 0.559
F 0.928 0.449 0.059
F 0.809 0.706 0.026
F 0.809 0.794 0.526
F 0.191 0.294 0.974
F 0.191 0.206 0.474
CELL_PARAMETERS angstrom
-7.300 -6.113 1.237
3.345 -1.645 11.607
-0.158 13.122 1.905
! electronic total energy: -5.48 eV/atom
! V: 1238.9 Å³ per cell
! distance to the lowest polymorph of the same formula: 4.0 meV/atom
! ΔH_f (0 K): -163.4 kJ/mol of atoms
! theoretical density: 2.2 g/cm3
! symmetry: No. 14
! magnetic moment: 0.0 μB/f.u.
! crystal system: monoclinic